Entry from the Materials Project: Sm5Mo36Se48 after structural relaxation (PBE-GGA).

Geometry as POSCAR:
```
Sm5Mo36Se48
1.0
-0.663 -6.773 -0.116
74.271 -8.213 -32.705
8.993 -1.184 3.446
Sm Mo Se
10 72 96
direct
0.000 0.083 0.000 Sm
0.000 0.250 0.001 Sm
0.000 0.333 0.000 Sm
0.000 0.417 0.000 Sm
0.000 0.500 0.000 Sm
0.000 0.583 0.000 Sm
0.000 0.667 0.000 Sm
0.000 0.750 0.000 Sm
0.000 0.833 0.000 Sm
0.000 0.917 0.999 Sm
0.233 0.072 0.559 Mo
0.235 0.155 0.557 Mo
0.233 0.238 0.560 Mo
0.234 0.322 0.560 Mo
0.234 0.405 0.560 Mo
0.234 0.489 0.560 Mo
0.234 0.572 0.560 Mo
0.234 0.655 0.560 Mo
0.235 0.739 0.560 Mo
0.234 0.822 0.560 Mo
0.424 0.027 0.233 Mo
0.233 0.905 0.560 Mo
0.423 0.110 0.236 Mo
0.445 0.016 0.578 Mo
0.235 0.989 0.557 Mo
0.424 0.193 0.233 Mo
0.439 0.099 0.575 Mo
0.424 0.277 0.235 Mo
0.444 0.182 0.578 Mo
0.423 0.360 0.235 Mo
0.440 0.266 0.577 Mo
0.423 0.444 0.235 Mo
0.441 0.349 0.577 Mo
0.423 0.527 0.235 Mo
0.440 0.432 0.577 Mo
0.423 0.610 0.235 Mo
0.440 0.516 0.577 Mo
0.423 0.694 0.235 Mo
0.561 0.067 0.425 Mo
0.440 0.599 0.577 Mo
0.423 0.777 0.235 Mo
0.555 0.151 0.422 Mo
0.440 0.682 0.577 Mo
0.577 0.056 0.764 Mo
0.423 0.860 0.235 Mo
0.562 0.234 0.425 Mo
0.440 0.766 0.577 Mo
0.576 0.140 0.767 Mo
0.422 0.944 0.235 Mo
0.560 0.318 0.424 Mo
0.440 0.849 0.577 Mo
0.578 0.223 0.765 Mo
0.560 0.401 0.423 Mo
0.438 0.933 0.575 Mo
0.577 0.306 0.765 Mo
0.560 0.484 0.423 Mo
0.577 0.390 0.765 Mo
0.560 0.568 0.423 Mo
0.577 0.473 0.765 Mo
0.560 0.651 0.423 Mo
0.577 0.556 0.765 Mo
0.560 0.734 0.423 Mo
0.577 0.640 0.765 Mo
0.559 0.818 0.423 Mo
0.577 0.723 0.765 Mo
0.559 0.901 0.423 Mo
0.577 0.806 0.765 Mo
0.765 0.011 0.443 Mo
0.556 0.984 0.422 Mo
0.576 0.890 0.765 Mo
0.767 0.095 0.441 Mo
0.576 0.973 0.767 Mo
0.765 0.178 0.443 Mo
0.767 0.261 0.440 Mo
0.766 0.345 0.440 Mo
0.766 0.428 0.440 Mo
0.766 0.511 0.440 Mo
0.766 0.595 0.440 Mo
0.766 0.678 0.440 Mo
0.765 0.761 0.440 Mo
0.766 0.845 0.440 Mo
0.767 0.928 0.440 Mo
0.123 0.032 0.376 Se
0.124 0.115 0.375 Se
0.123 0.198 0.376 Se
0.123 0.282 0.374 Se
0.122 0.365 0.373 Se
0.122 0.449 0.373 Se
0.235 0.000 0.235 Se
0.122 0.532 0.373 Se
0.240 0.083 0.241 Se
0.122 0.615 0.373 Se
0.235 0.167 0.235 Se
0.122 0.699 0.373 Se
0.242 0.062 0.878 Se
0.240 0.250 0.240 Se
0.122 0.782 0.373 Se
0.249 0.146 0.876 Se
0.239 0.333 0.240 Se
0.122 0.865 0.373 Se
0.242 0.229 0.877 Se
0.240 0.417 0.240 Se
0.123 0.948 0.374 Se
0.244 0.312 0.878 Se
0.240 0.500 0.240 Se
0.244 0.396 0.878 Se
0.240 0.583 0.240 Se
0.244 0.479 0.878 Se
0.239 0.667 0.240 Se
0.244 0.562 0.878 Se
0.376 0.031 0.751 Se
0.240 0.750 0.240 Se
0.244 0.646 0.878 Se
0.374 0.114 0.757 Se
0.239 0.833 0.240 Se
0.244 0.729 0.878 Se
0.375 0.198 0.751 Se
0.240 0.917 0.240 Se
0.244 0.812 0.878 Se
0.373 0.280 0.757 Se
0.244 0.896 0.879 Se
0.373 0.364 0.756 Se
0.250 0.979 0.876 Se
0.373 0.447 0.756 Se
0.373 0.531 0.756 Se
0.373 0.614 0.756 Se
0.373 0.697 0.756 Se
0.373 0.781 0.756 Se
0.374 0.864 0.756 Se
0.374 0.947 0.757 Se
0.626 0.053 0.243 Se
0.624 0.136 0.249 Se
0.626 0.219 0.243 Se
0.626 0.303 0.244 Se
0.627 0.386 0.244 Se
0.627 0.469 0.244 Se
0.627 0.553 0.244 Se
0.751 0.021 0.124 Se
0.627 0.636 0.244 Se
0.758 0.104 0.122 Se
0.627 0.719 0.244 Se
0.750 0.188 0.124 Se
0.760 0.084 0.759 Se
0.627 0.803 0.244 Se
0.756 0.271 0.121 Se
0.765 0.167 0.765 Se
0.627 0.886 0.243 Se
0.756 0.354 0.122 Se
0.760 0.250 0.760 Se
0.625 0.969 0.249 Se
0.756 0.438 0.122 Se
0.761 0.333 0.760 Se
0.756 0.521 0.122 Se
0.760 0.417 0.760 Se
0.756 0.604 0.122 Se
0.760 0.500 0.760 Se
0.756 0.688 0.122 Se
0.876 0.052 0.625 Se
0.760 0.583 0.760 Se
0.756 0.771 0.122 Se
0.877 0.135 0.624 Se
0.761 0.667 0.760 Se
0.756 0.854 0.122 Se
0.877 0.219 0.626 Se
0.760 0.750 0.760 Se
0.758 0.938 0.123 Se
0.878 0.301 0.627 Se
0.761 0.833 0.760 Se
0.878 0.385 0.627 Se
0.760 0.917 0.760 Se
0.878 0.468 0.627 Se
0.765 0.000 0.765 Se
0.878 0.551 0.627 Se
0.878 0.635 0.627 Se
0.878 0.718 0.627 Se
0.878 0.801 0.627 Se
0.877 0.885 0.626 Se
0.877 0.968 0.624 Se
```

- Total energy: -7.215 eV per atom

***

Entry from the Materials Project: SnMo6Se8 after structural relaxation (PBE-GGA).

Geometry as POSCAR:
```
SnMo6Se8
1.0
1.072 -2.011 -6.472
-1.739 -6.430 1.648
-6.553 1.311 -1.555
Sn Mo Se
1 6 8
direct
0.000 0.000 0.000 Sn
0.762 0.578 0.441 Mo
0.441 0.762 0.578 Mo
0.578 0.441 0.762 Mo
0.238 0.422 0.559 Mo
0.559 0.238 0.422 Mo
0.422 0.559 0.238 Mo
0.760 0.760 0.760 Se
0.240 0.240 0.240 Se
0.253 0.622 0.877 Se
0.877 0.253 0.622 Se
0.622 0.877 0.253 Se
0.747 0.378 0.123 Se
0.123 0.747 0.378 Se
0.378 0.123 0.747 Se
```

- Total energy: -6.954 eV per atom

***

Entry from the Materials Project: Sn2Mo15Se19 after structural relaxation (PBE-GGA).

Geometry as POSCAR:
```
Sn2Mo15Se19
1.0
-11.100 16.453 -2.456
-16.665 10.598 3.149
-9.549 16.009 7.242
Sn Mo Se
4 30 38
direct
0.884 0.884 0.884 Sn
0.384 0.384 0.384 Sn
0.116 0.116 0.116 Sn
0.616 0.616 0.616 Sn
0.813 0.000 0.127 Mo
0.127 0.813 0.000 Mo
0.000 0.127 0.813 Mo
0.627 0.500 0.313 Mo
0.313 0.627 0.500 Mo
0.500 0.313 0.627 Mo
0.187 0.000 0.873 Mo
0.873 0.187 0.000 Mo
0.000 0.873 0.187 Mo
0.373 0.500 0.687 Mo
0.687 0.373 0.500 Mo
0.500 0.687 0.373 Mo
0.640 0.777 0.950 Mo
0.950 0.640 0.777 Mo
0.777 0.950 0.640 Mo
0.450 0.277 0.140 Mo
0.140 0.450 0.277 Mo
0.277 0.140 0.450 Mo
0.360 0.223 0.050 Mo
0.050 0.360 0.223 Mo
0.223 0.050 0.360 Mo
0.550 0.723 0.860 Mo
0.860 0.550 0.723 Mo
0.723 0.860 0.550 Mo
0.591 0.909 0.750 Mo
0.750 0.591 0.909 Mo
0.909 0.750 0.591 Mo
0.250 0.409 0.091 Mo
0.091 0.250 0.409 Mo
0.409 0.091 0.250 Mo
0.942 0.699 0.307 Se
0.307 0.942 0.699 Se
0.699 0.307 0.942 Se
0.807 0.199 0.442 Se
0.442 0.807 0.199 Se
0.199 0.442 0.807 Se
0.058 0.301 0.693 Se
0.693 0.058 0.301 Se
0.301 0.693 0.058 Se
0.193 0.801 0.558 Se
0.558 0.193 0.801 Se
0.801 0.558 0.193 Se
0.453 0.078 0.827 Se
0.827 0.453 0.078 Se
0.078 0.827 0.453 Se
0.327 0.578 0.953 Se
0.953 0.327 0.578 Se
0.578 0.953 0.327 Se
0.547 0.922 0.173 Se
0.173 0.547 0.922 Se
0.922 0.173 0.547 Se
0.673 0.422 0.047 Se
0.047 0.673 0.422 Se
0.422 0.047 0.673 Se
0.057 0.443 0.750 Se
0.750 0.057 0.443 Se
0.443 0.750 0.057 Se
0.250 0.943 0.557 Se
0.557 0.250 0.943 Se
0.943 0.557 0.250 Se
0.944 0.944 0.944 Se
0.444 0.444 0.444 Se
0.056 0.056 0.056 Se
0.556 0.556 0.556 Se
0.825 0.825 0.825 Se
0.325 0.325 0.325 Se
0.175 0.175 0.175 Se
0.675 0.675 0.675 Se
```

- Total energy: -7.048 eV per atom

***

Entry from the Materials Project: Ta4MoSe10 after structural relaxation (PBE-GGA).

Geometry as POSCAR:
```
Ta4MoSe10
1.0
-1.722 -2.982 0.000
1.722 -2.982 0.000
1.722 -0.994 33.921
Ta Mo Se
4 1 10
direct
0.400 0.200 0.200 Ta
0.800 0.400 0.400 Ta
0.200 0.600 0.600 Ta
0.600 0.800 0.800 Ta
0.000 0.000 0.000 Mo
0.883 0.234 0.650 Se
0.283 0.433 0.850 Se
0.683 0.635 0.048 Se
0.083 0.834 0.249 Se
0.483 0.034 0.450 Se
0.050 0.900 0.150 Se
0.450 0.100 0.350 Se
0.850 0.300 0.550 Se
0.250 0.500 0.750 Se
0.651 0.699 0.952 Se
```

- ΔE to the lowest computed polymorph: 0.0158 eV/atom
- Total energy: -6.982 eV per atom

***

Entry from the Materials Project: Ta4MoSe10 after structural relaxation (PBE-GGA).

Geometry as POSCAR:
```
Ta4MoSe10
1.0
4.138 -8.996 0.593
4.629 -7.900 3.817
-8.860 -4.806 2.984
Ta Mo Se
4 1 10
direct
0.133 0.133 0.272 Ta
0.336 0.336 0.678 Ta
0.526 0.526 0.058 Ta
0.730 0.730 0.467 Ta
0.932 0.932 0.871 Mo
0.396 0.396 0.048 Se
0.598 0.598 0.452 Se
0.001 0.001 0.245 Se
0.801 0.801 0.856 Se
0.202 0.202 0.652 Se
0.732 0.732 0.219 Se
0.933 0.933 0.625 Se
0.128 0.128 0.023 Se
0.331 0.331 0.428 Se
0.529 0.529 0.815 Se
```

- ΔE to the lowest computed polymorph: 0.0000 eV/atom
- Total energy: -6.998 eV per atom

***

Entry from the Materials Project: TbMo6Se8 after structural relaxation (PBE-GGA).

Geometry as POSCAR:
```
TbMo6Se8
1.0
4.831 -4.761 0.000
4.831 4.761 0.000
0.138 0.000 6.781
Tb Mo Se
1 6 8
direct
0.000 0.000 0.000 Tb
0.766 0.577 0.441 Mo
0.441 0.766 0.577 Mo
0.577 0.441 0.766 Mo
0.234 0.423 0.559 Mo
0.559 0.234 0.423 Mo
0.423 0.559 0.234 Mo
0.763 0.763 0.763 Se
0.237 0.237 0.237 Se
0.244 0.628 0.878 Se
0.878 0.244 0.628 Se
0.628 0.878 0.244 Se
0.756 0.372 0.122 Se
0.122 0.756 0.372 Se
0.372 0.122 0.756 Se
```

- Total energy: -7.214 eV per atom